Record 1
DFT (GGA-PBE) results for YP3O9 after structural relaxation.

## Properties
relative energy among the computed polymorphs	0.00	eV per formula unit
total energy after the MP2020 corrections	-8.188	eV per atom

Lattice parameters (Å, degrees): 21.4463 21.4463 12.3992 90.00 90.00 120.00
Space group R-3 (No. 148, hexagonal axes)
Asymmetric unit:
Y1 0.0000 0.0000 0.0000 (multiplicity 3)
Y2 0.0000 0.0000 0.5000 (multiplicity 3)
Y3 0.0318 0.7743 0.2368 (multiplicity 18)
P1 0.0280 0.1547 0.1723 (multiplicity 18)
P2 0.0282 0.2739 0.0407 (multiplicity 18)
P3 0.0412 0.5450 0.1693 (multiplicity 18)
P4 0.0823 0.9155 0.6477 (multiplicity 18)
O1 0.0005 0.0866 0.1082 (multiplicity 18)
O2 0.0015 0.2056 0.1185 (multiplicity 18)
O3 0.0085 0.4541 0.7332 (multiplicity 18)
O4 0.0102 0.6540 0.5932 (multiplicity 18)
O5 0.0131 0.8592 0.7150 (multiplicity 18)
O6 0.0225 0.2497 0.9262 (multiplicity 18)
O7 0.0218 0.4677 0.1562 (multiplicity 18)
O8 0.0273 0.0959 0.6041 (multiplicity 18)
O9 0.0391 0.5860 0.0727 (multiplicity 18)
O10 0.0609 0.2118 0.7086 (multiplicity 18)
O11 0.0752 0.8632 0.5499 (multiplicity 18)
O12 0.0909 0.8932 0.1965 (multiplicity 18)

=====

Record 2
DFT (GGA-PBE) results for AlPO4 after structural relaxation.

## Properties
total energy after the MP2020 corrections	-7.928	eV per atom

Lattice parameters (Å, degrees): 14.1897 15.3639 17.6513 90.00 90.00 90.00
Space group Pbca (No. 61)
Asymmetric unit:
Al1 0.0546 0.0975 0.0659 (multiplicity 8)
Al2 0.0554 0.2267 0.8401 (multiplicity 8)
Al3 0.0780 0.5994 0.9265 (multiplicity 8)
Al4 0.2143 0.1604 0.5395 (multiplicity 8)
P1 0.0526 0.0963 0.4287 (multiplicity 8)
P2 0.0599 0.2267 0.6578 (multiplicity 8)
P3 0.0804 0.5996 0.5758 (multiplicity 8)
P4 0.2153 0.1613 0.9558 (multiplicity 8)
O1 0.0298 0.6777 0.8663 (multiplicity 8)
O2 0.0317 0.6135 0.0181 (multiplicity 8)
O3 0.0390 0.6182 0.4967 (multiplicity 8)
O4 0.0456 0.0047 0.3939 (multiplicity 8)
O5 0.0470 0.6689 0.6329 (multiplicity 8)
O6 0.0491 0.1629 0.3644 (multiplicity 8)
O7 0.0493 0.1763 0.1371 (multiplicity 8)
O8 0.0492 0.5085 0.6034 (multiplicity 8)
O9 0.0736 0.2186 0.7432 (multiplicity 8)
O10 0.1462 0.1023 0.4735 (multiplicity 8)
O11 0.1466 0.1869 0.6188 (multiplicity 8)
O12 0.1533 0.1844 0.8876 (multiplicity 8)
O13 0.1590 0.1061 0.0128 (multiplicity 8)
O14 0.1884 0.6011 0.5699 (multiplicity 8)
O15 0.2004 0.6086 0.9271 (multiplicity 8)
O16 0.2473 0.7438 0.9954 (multiplicity 8)

=====

Record 3
DFT (GGA-PBE) results for Li3NiN2 after structural relaxation.

## Properties
relative energy among the computed polymorphs	0.00	eV per formula unit
total energy after the MP2020 corrections	-5.022	eV per atom

Lattice parameters (Å, degrees): 9.5069 9.5069 9.5069 90.00 90.00 90.00
Space group Ia-3 (No. 206)
Asymmetric unit:
Li1 0.1133 0.1424 0.3710 (multiplicity 48)
Ni1 0.1168 0.1168 0.1168 (multiplicity 16)
N1 0.0000 0.0000 0.0000 (multiplicity 8)
N2 0.0000 0.2500 0.2211 (multiplicity 24)

=====

Record 4
DFT (GGA-PBE) results for Ho11In6Si4 after structural relaxation.

## Properties
total energy after the MP2020 corrections	-4.800	eV per atom

Lattice parameters (Å, degrees): 11.4375 11.4375 16.1174 90.00 90.00 90.00
Space group I4/mmm (No. 139)
Asymmetric unit:
Ho1 0.0000 0.0000 0.1716 (multiplicity 4)
Ho2 0.0000 0.2510 0.3162 (multiplicity 16)
Ho3 0.0000 0.3470 0.1014 (multiplicity 16)
Ho4 0.1680 0.1680 0.5000 (multiplicity 8)
In1 0.1287 0.1287 0.0000 (multiplicity 8)
In2 0.2053 0.2053 0.1714 (multiplicity 16)
Si1 0.0000 0.0000 0.3834 (multiplicity 4)
Si2 0.0000 0.3475 0.5000 (multiplicity 8)
Si3 0.0000 0.5000 0.2500 (multiplicity 4)

=====

Record 5
DFT (GGA-PBE) results for K2CuCl4O2 after structural relaxation.

## Properties
relative energy among the computed polymorphs	0.00	eV per formula unit
total energy after the MP2020 corrections	-3.682	eV per atom

Lattice parameters (Å, degrees): 7.6221 7.6221 7.9183 90.00 90.00 90.00
Space group I4/mmm (No. 139)
Asymmetric unit:
K1 0.0000 0.5000 0.2500 (multiplicity 4)
Cu1 0.0000 0.0000 0.0000 (multiplicity 2)
Cl1 0.2114 0.2114 0.0000 (multiplicity 8)
O1 0.0000 0.0000 0.4224 (multiplicity 4)

=====

Record 6
DFT (GGA-PBE) results for TeWBr9 after structural relaxation.

## Properties
total energy after the MP2020 corrections	-3.668	eV per atom

Lattice parameters (Å, degrees): 7.1129 12.1713 10.3858 90.00 103.42 90.00
Space group P2_1/m (No. 11)
Asymmetric unit:
Te1 0.2430 0.2500 0.4686 (multiplicity 2)
W1 0.3555 0.2500 0.8536 (multiplicity 2)
Br1 0.0215 0.2500 0.6847 (multiplicity 2)
Br2 0.0505 0.0936 0.3357 (multiplicity 4)
Br3 0.2453 0.1011 0.9745 (multiplicity 4)
Br4 0.3150 0.7500 0.0113 (multiplicity 2)
Br5 0.4525 0.1068 0.6945 (multiplicity 4)
Br6 0.4810 0.7500 0.6511 (multiplicity 2)